Here is an optimized crystal structure of Na3MgScSiS2O12 from Materials Project. Energies are from GGA-PBE.

Cell: 9.0419 9.0645 22.5461 Å, 89.99 90.00 119.92°
Fractional positions:
Na  0.0097  0.9890  0.9968
Na  0.0061  0.6418  0.2423
Na  0.2903  0.9485  0.0800
Na  0.9838  0.6803  0.9226
Na  0.3371  0.6644  0.6642
Na  0.6964  0.6803  0.4226
Na  0.3273  0.6644  0.1642
Na  0.0311  0.3488  0.0853
Na  0.6357  0.6418  0.7423
Na  0.3792  0.0069  0.7525
Na  0.6582  0.9485  0.5800
Na  0.6603  0.3126  0.8307
Na  0.9793  0.9890  0.4968
Na  0.6911  0.0288  0.9087
Na  0.6522  0.3126  0.3307
Na  0.3177  0.3488  0.5853
Na  0.3377  0.0288  0.4087
Na  0.6277  0.0069  0.2525
O  0.7960  0.8206  0.9125
O  0.1161  0.6394  0.3621
O  0.0203  0.2146  0.1940
O  0.3642  0.8790  0.8585
O  0.6357  0.5074  0.6430
O  0.8650  0.5149  0.4212
O  0.5148  0.8790  0.3585
O  0.6396  0.1525  0.4223
O  0.3542  0.4805  0.3658
O  0.4891  0.3581  0.4222
O  0.3109  0.8247  0.2539
O  0.1790  0.9693  0.1935
O  0.5363  0.6847  0.9690
O  0.4526  0.1454  0.5300
O  0.1528  0.6433  0.0812
O  0.3119  0.4650  0.7562
O  0.8137  0.0220  0.8120
O  0.6680  0.1646  0.7446
O  0.1960  0.1845  0.0894
O  0.3025  0.8504  0.9757
O  0.1432  0.4491  0.9725
O  0.4755  0.3580  0.1371
O  0.3549  0.4897  0.0756
O  0.0330  0.8173  0.6990
O  0.1531  0.4650  0.2562
O  0.0148  0.1972  0.9125
O  0.8101  0.7836  0.3051
O  0.5129  0.1525  0.9223
O  0.4905  0.6433  0.5812
O  0.6946  0.5372  0.2436
O  0.4670  0.3128  0.7455
O  0.4797  0.1166  0.6368
O  0.1942  0.2146  0.6940
O  0.9884  0.1845  0.5894
O  0.2039  0.0333  0.5901
O  0.8294  0.0333  0.0901
O  0.9728  0.1815  0.3007
O  0.1348  0.4897  0.5756
O  0.3059  0.4491  0.4725
O  0.0246  0.8206  0.4125
O  0.8529  0.3017  0.5313
O  0.5233  0.6394  0.8621
O  0.6929  0.1454  0.0300
O  0.2088  0.1815  0.8007
O  0.9735  0.7836  0.8051
O  0.1263  0.4805  0.8658
O  0.5322  0.6848  0.2564
O  0.5182  0.8665  0.0768
O  0.1825  0.1972  0.4125
O  0.8717  0.5074  0.1430
O  0.5478  0.8504  0.4757
O  0.8323  0.8201  0.5858
O  0.1527  0.6848  0.7564
O  0.2084  0.0220  0.3120
O  0.7903  0.9693  0.6935
O  0.7842  0.8173  0.1990
O  0.6370  0.1166  0.1368
O  0.1529  0.9734  0.9094
O  0.6499  0.5149  0.9212
O  0.4488  0.3017  0.0313
O  0.8825  0.3580  0.6371
O  0.5137  0.8247  0.7539
O  0.9878  0.8201  0.0858
O  0.8458  0.3128  0.2455
O  0.1484  0.6847  0.4690
O  0.8205  0.9734  0.4094
O  0.4967  0.1646  0.2446
O  0.6866  0.5340  0.5242
O  0.8426  0.5372  0.7436
O  0.8474  0.5340  0.0242
O  0.3483  0.8665  0.5768
O  0.8690  0.3581  0.9222
Sc  0.3406  0.6855  0.3165
Sc  0.9757  0.9798  0.6491
Sc  0.6764  0.3374  0.4829
Sc  0.6610  0.3374  0.9829
Sc  0.3448  0.6855  0.8165
Sc  0.0041  0.9798  0.1491
Mg  0.6605  0.3349  0.1832
Mg  0.0089  0.0138  0.8498
Mg  0.3499  0.6726  0.5163
Mg  0.0048  0.0138  0.3498
Mg  0.3227  0.6726  0.0163
Mg  0.6745  0.3349  0.6832
S  0.2921  0.2927  0.7492
S  0.6242  0.6652  0.9172
S  0.3290  0.3720  0.4180
S  0.0430  0.3720  0.9180
S  0.0410  0.6652  0.4172
S  0.7059  0.7041  0.2516
S  0.6681  0.0391  0.0838
S  0.0006  0.2927  0.2492
S  0.9649  0.3383  0.5841
S  0.9983  0.7041  0.7516
S  0.3710  0.0391  0.5838
S  0.3734  0.3383  0.0841
Si  0.6392  0.9694  0.4181
Si  0.9602  0.6234  0.0847
Si  0.3018  0.0079  0.2531
Si  0.7061  0.0079  0.7531
Si  0.6632  0.6234  0.5847
Si  0.3301  0.9694  0.9181

Properties
* mass density: 2.6 g/cm3
* space group: Cc, No. 9


Here is an optimized crystal structure of Na4Mg2SiS2O12 from Materials Project. Energies are from GGA-PBE.

Cell: 9.0873 9.0949 22.0405 Å, 89.96 90.00 119.97°
Fractional positions:
O  0.5261  0.6739  0.2559
O  0.3365  0.8602  0.5782
O  0.6575  0.1633  0.4224
O  0.1202  0.6377  0.3625
O  0.1915  0.2111  0.6944
O  0.3138  0.8260  0.2527
O  0.0244  0.8195  0.4123
O  0.8411  0.8183  0.5856
O  0.5238  0.8602  0.0782
O  0.6785  0.1728  0.7448
O  0.6372  0.1137  0.1377
O  0.6901  0.5339  0.2448
O  0.8438  0.5339  0.7448
O  0.6931  0.5377  0.5230
O  0.3618  0.4959  0.0762
O  0.1483  0.4534  0.9710
O  0.8573  0.3047  0.5290
O  0.4474  0.3047  0.0290
O  0.4860  0.3575  0.4206
O  0.8496  0.3157  0.2466
O  0.1996  0.0286  0.5907
O  0.3659  0.8873  0.8571
O  0.9771  0.8183  0.0856
O  0.2156  0.0346  0.3107
O  0.1519  0.6445  0.0813
O  0.4926  0.6445  0.5813
O  0.0218  0.2004  0.9128
O  0.5214  0.8873  0.3571
O  0.6399  0.5103  0.6434
O  0.7913  0.9765  0.6904
O  0.4477  0.1399  0.5285
O  0.4765  0.1137  0.6377
O  0.1478  0.6739  0.7559
O  0.4726  0.3581  0.1383
O  0.8669  0.5123  0.4208
O  0.1600  0.9909  0.9107
O  0.3490  0.4756  0.3610
O  0.8855  0.3581  0.6383
O  0.8073  0.7859  0.3048
O  0.4943  0.1728  0.2448
O  0.5545  0.8548  0.4768
O  0.1423  0.6832  0.4723
O  0.4661  0.3157  0.7466
O  0.8715  0.3575  0.9206
O  0.1583  0.4634  0.2555
O  0.1931  0.1908  0.0881
O  0.1852  0.9765  0.1904
O  0.8309  0.9909  0.4107
O  0.1786  0.2004  0.4128
O  0.3051  0.4634  0.7555
O  0.8190  0.0346  0.8107
O  0.8446  0.5377  0.0230
O  0.5175  0.6377  0.8625
O  0.3051  0.4534  0.4710
O  0.6922  0.1399  0.0285
O  0.8705  0.5103  0.1434
O  0.7778  0.8111  0.1955
O  0.9763  0.1876  0.3044
O  0.6454  0.5123  0.9208
O  0.3004  0.8548  0.9768
O  0.8290  0.0286  0.0907
O  0.0333  0.8111  0.6955
O  0.5123  0.8260  0.7527
O  0.5409  0.6832  0.9723
O  0.0196  0.2111  0.1944
O  0.9977  0.1908  0.5881
O  0.1341  0.4959  0.5762
O  0.2113  0.1876  0.8044
O  0.5058  0.1633  0.9224
O  0.1266  0.4756  0.8610
O  0.9787  0.7859  0.8048
O  0.7951  0.8195  0.9123
Na  0.6514  0.3077  0.3335
Na  0.6787  0.6926  0.0799
Na  0.6388  0.6496  0.7383
Na  0.0110  0.9840  0.9995
Na  0.6957  0.6806  0.4278
Na  0.3806  0.9972  0.7575
Na  0.0109  0.6496  0.2383
Na  0.9543  0.2874  0.4165
Na  0.2810  0.9483  0.0836
Na  0.3331  0.2874  0.9165
Na  0.3199  0.3459  0.5866
Na  0.3609  0.6783  0.6669
Na  0.9838  0.3441  0.7527
Na  0.3603  0.3441  0.2527
Na  0.6165  0.9972  0.2575
Na  0.0139  0.6926  0.5799
Na  0.6563  0.3077  0.8335
Na  0.3476  0.0289  0.4059
Na  0.6673  0.9483  0.5836
Na  0.9849  0.6806  0.9278
Na  0.3174  0.6783  0.1669
Na  0.6813  0.0289  0.9059
Na  0.9730  0.9840  0.4995
Na  0.0261  0.3459  0.0866
Si  0.9604  0.6271  0.0833
Si  0.3009  0.0020  0.2501
Si  0.6668  0.6271  0.5833
Si  0.3327  0.9724  0.9169
Si  0.7012  0.0020  0.7501
Si  0.6397  0.9724  0.4169
Mg  0.6670  0.3325  0.4841
Mg  0.3193  0.6763  0.0160
Mg  0.0038  0.9858  0.1502
Mg  0.3421  0.6890  0.3180
Mg  0.3569  0.6763  0.5160
Mg  0.0043  0.0008  0.3491
Mg  0.9965  0.0008  0.8491
Mg  0.6644  0.3306  0.6829
Mg  0.3469  0.6890  0.8180
Mg  0.6661  0.3306  0.1829
Mg  0.6655  0.3325  0.9841
Mg  0.9820  0.9858  0.6502
S  0.0010  0.2935  0.2498
S  0.3308  0.3733  0.4161
S  0.0400  0.6639  0.4172
S  0.0425  0.3733  0.9161
S  0.0005  0.7030  0.7504
S  0.9665  0.3366  0.5831
S  0.3676  0.0374  0.5836
S  0.3701  0.3366  0.0831
S  0.2925  0.2935  0.7498
S  0.7025  0.7030  0.2504
S  0.6698  0.0374  0.0836
S  0.6238  0.6639  0.9172

Properties
* mass density: 2.7 g/cm3
* space group: Cc, No. 9


no.,ΔE_f (eV per atom)
1,-2.5942
2,-2.4578